# Cd4Te3Se (PBE, optimized geometry)
data_Cd4Te3Se
_chemical_formula_sum 'Cd4 Te3 Se1'
_cell_length_a 4.615
_cell_length_b 9.263
_cell_length_c 6.481
_cell_angle_alpha 90.00
_cell_angle_beta 90.00
_cell_angle_gamma 90.00
_space_group_name_H-M_alt 'P m m 2'
_space_group_IT_number 25
_space_group_name_Hall 'P 2 -2'
loop_
_atom_site_label
_atom_site_fract_x
_atom_site_fract_y
_atom_site_fract_z
_atom_site_occupancy
Cd1 0.000 0.000 0.000 1
Cd2 0.000 0.500 0.025 1
Cd3 0.500 0.238 0.529 1
Te1 0.000 0.244 0.270 1
Te2 0.500 0.500 0.767 1
Se1 0.500 0.000 0.773 1
# formation enthalpy at 0 K	-4.39	eV/f.u.